Entry 1:
VASP calculation (GGA-PBE) on a relaxed Na3AlSi2GeSO12 crystal.

For the energy relative to the elements, the calculation gives -245.3 kJ per mole of atoms. The value obtained for the calculated density is 3.122 Mg/m³. Its energy with MP2020 corrections is -6.878 eV/atom. For the total energy, the calculation gives -6.47 eV/atom.

Cell lengths 8.700, 8.700, 21.709 Å; angles 88.73, 91.27, 119.33 degrees
Atoms (fractional coordinates):
O (0.965, 0.147, 0.591)
O (0.154, 0.960, 0.191)
O (0.864, 0.509, 0.423)
O (0.501, 0.884, 0.356)
O (0.498, 0.846, 0.077)
O (0.640, 0.152, 0.421)
O (0.451, 0.299, 0.026)
O (0.040, 0.846, 0.691)
O (0.488, 0.303, 0.742)
O (0.531, 0.842, 0.756)
O (0.181, 0.026, 0.588)
O (0.639, 0.136, 0.146)
O (0.974, 0.819, 0.088)
O (0.974, 0.174, 0.304)
O (0.842, 0.307, 0.246)
O (0.158, 0.469, 0.256)
O (0.514, 0.693, 0.254)
O (0.821, 0.293, 0.525)
O (0.154, 0.502, 0.577)
O (0.701, 0.549, 0.526)
O (0.836, 0.799, 0.311)
O (0.519, 0.369, 0.424)
O (0.116, 0.499, 0.856)
O (0.821, 0.970, 0.409)
O (0.154, 0.637, 0.075)
O (0.306, 0.470, 0.480)
O (0.631, 0.481, 0.924)
O (0.168, 0.218, 0.690)
O (0.697, 0.512, 0.242)
O (0.186, 0.702, 0.757)
O (0.175, 0.973, 0.913)
O (0.197, 0.176, 0.089)
O (0.118, 0.633, 0.360)
O (0.160, 0.693, 0.471)
O (0.693, 0.158, 0.746)
O (0.363, 0.846, 0.575)
O (0.307, 0.486, 0.754)
O (0.534, 0.830, 0.478)
O (0.298, 0.814, 0.257)
O (0.197, 0.028, 0.313)
O (0.848, 0.360, 0.921)
O (0.367, 0.882, 0.860)
O (0.165, 0.179, 0.410)
O (0.782, 0.832, 0.190)
O (0.374, 0.512, 0.358)
O (0.034, 0.216, 0.193)
O (0.864, 0.361, 0.646)
O (0.307, 0.840, 0.971)
O (0.030, 0.179, 0.909)
O (0.201, 0.164, 0.811)
O (0.530, 0.694, 0.980)
O (0.509, 0.640, 0.580)
O (0.449, 0.165, 0.523)
O (0.641, 0.507, 0.638)
O (0.835, 0.551, 0.023)
O (0.027, 0.825, 0.413)
O (0.853, 0.035, 0.091)
O (0.488, 0.168, 0.244)
O (0.170, 0.466, 0.978)
O (0.821, 0.835, 0.910)
O (0.826, 0.026, 0.804)
O (0.824, 0.803, 0.589)
O (0.707, 0.179, 0.025)
O (0.493, 0.359, 0.138)
O (0.488, 0.626, 0.858)
O (0.832, 0.512, 0.744)
O (0.503, 0.132, 0.644)
O (0.972, 0.803, 0.813)
O (0.868, 0.497, 0.144)
O (0.784, 0.966, 0.693)
O (0.491, 0.136, 0.923)
O (0.360, 0.491, 0.080)
Ge (0.647, 0.302, 0.481)
Ge (0.314, 0.635, 0.814)
Ge (0.981, 0.969, 0.147)
Ge (0.365, 0.686, 0.314)
Ge (0.031, 0.019, 0.647)
Ge (0.698, 0.353, 0.981)
Al (0.337, 0.671, 0.020)
Al (0.003, 0.004, 0.354)
Al (0.670, 0.338, 0.687)
Al (0.996, 0.997, 0.854)
Al (0.329, 0.663, 0.520)
Al (0.662, 0.330, 0.187)
Na (0.333, 0.306, 0.915)
Na (0.003, 0.014, 0.498)
Na (0.965, 0.668, 0.912)
Na (0.666, 0.973, 0.581)
Na (0.361, 0.000, 0.748)
Na (0.665, 0.701, 0.079)
Na (0.027, 0.334, 0.081)
Na (0.653, 0.330, 0.331)
Na (0.332, 0.035, 0.412)
Na (0.000, 0.639, 0.248)
Na (0.299, 0.335, 0.579)
Na (0.670, 0.347, 0.831)
Na (0.999, 0.368, 0.746)
Na (0.694, 0.667, 0.415)
Na (0.632, 0.001, 0.246)
Na (0.986, 0.997, 0.998)
Na (0.320, 0.664, 0.664)
Na (0.336, 0.680, 0.164)
Si (0.660, 0.044, 0.086)
Si (0.298, 0.291, 0.752)
Si (0.956, 0.340, 0.586)
Si (0.376, 0.035, 0.586)
Si (0.709, 0.702, 0.252)
Si (0.289, 0.007, 0.253)
Si (0.631, 0.957, 0.419)
Si (0.327, 0.378, 0.420)
Si (0.965, 0.624, 0.086)
Si (0.043, 0.369, 0.919)
Si (0.993, 0.711, 0.753)
Si (0.622, 0.673, 0.920)
S (0.339, 0.957, 0.917)
S (0.043, 0.661, 0.417)
S (0.376, 0.328, 0.083)
S (0.672, 0.624, 0.583)
S (0.710, 0.994, 0.750)
S (0.006, 0.290, 0.250)



Entry 2:
VASP calculation (GGA-PBE) on a relaxed Er2MnGe4 crystal.

For the energy relative to the elements, the calculation gives -49.7 kJ per mole of atoms. As for the space-group type: Amm2 (38). The value obtained for the calculated density is 8.256 Mg/m³. For the total energy, the calculation gives -5.77 eV/atom.

Cell lengths 4.210, 4.231, 7.965 Å; angles 74.60, 90.00, 90.00 degrees
Atoms (fractional coordinates):
Ge (0.750, 0.436, 0.128)
Ge (0.250, 0.260, 0.480)
Ge (0.750, 0.755, 0.489)
Ge (0.250, 0.547, 0.907)
Mn (0.250, 0.698, 0.604)
Er (0.750, 0.101, 0.797)
Er (0.250, 0.898, 0.204)



Entry 3:
VASP calculation (GGA-PBE) on a relaxed Ba3TiS5 crystal.

For the energy relative to the elements, the calculation gives -207.2 kJ per mole of atoms. As for the space-group type: I4/mcm (140). The value obtained for the calculated density is 4.029 Mg/m³. Its energy with MP2020 corrections is -5.963 eV/atom. For the total energy, the calculation gives -5.68 eV/atom.

Cell lengths 9.237, 9.237, 9.237 Å; angles 124.79, 124.79, 81.88 degrees
Atoms (fractional coordinates):
S (0.996, 0.496, 0.796)
S (0.504, 0.300, 0.500)
S (0.700, 0.200, 0.204)
S (0.004, 0.504, 0.204)
S (0.496, 0.700, 0.500)
S (0.000, 0.000, 0.000)
S (0.200, 0.996, 0.500)
S (0.800, 0.004, 0.500)
S (0.500, 0.500, 0.000)
S (0.300, 0.800, 0.796)
Ba (0.750, 0.750, 0.000)
Ba (0.337, 0.837, 0.173)
Ba (0.163, 0.337, 0.500)
Ba (0.837, 0.663, 0.500)
Ba (0.250, 0.250, 0.000)
Ba (0.663, 0.163, 0.827)
Ti (0.250, 0.750, 0.500)
Ti (0.750, 0.250, 0.500)



Entry 4:
VASP calculation (GGA-PBE) on a relaxed EuB12 crystal.

For the energy relative to the elements, the calculation gives -14.9 kJ per mole of atoms. As for the space-group type: Fm-3m (225). The value obtained for the calculated density is 4.412 Mg/m³. For the total energy, the calculation gives -7.11 eV/atom.

Cell lengths 5.313, 5.313, 5.313 Å; angles 60.00, 60.00, 60.00 degrees
Atoms (fractional coordinates):
B (0.163, 0.837, 0.500)
B (0.837, 0.500, 0.163)
B (0.163, 0.500, 0.837)
B (0.163, 0.500, 0.500)
B (0.500, 0.837, 0.500)
B (0.500, 0.163, 0.837)
B (0.837, 0.163, 0.500)
B (0.500, 0.163, 0.500)
B (0.837, 0.500, 0.500)
B (0.500, 0.500, 0.163)
B (0.500, 0.837, 0.163)
B (0.500, 0.500, 0.837)
Eu (0.000, 0.000, 0.000)



Entry 5:
VASP calculation (GGA-PBE) on a relaxed CdGeBi2O6 crystal.

For the energy relative to the elements, the calculation gives -172.1 kJ per mole of atoms. As for the space-group type: P2_1/c (14). The value obtained for the calculated density is 7.412 Mg/m³. Its energy with MP2020 corrections is -6.086 eV/atom. For the total energy, the calculation gives -5.67 eV/atom.

Cell lengths 5.703, 10.365, 14.754 Å; angles 45.91, 90.00, 90.00 degrees
Atoms (fractional coordinates):
Cd (0.250, 0.888, 0.998)
Cd (0.250, 0.888, 0.498)
Cd (0.750, 0.112, 0.002)
Cd (0.750, 0.112, 0.502)
O (0.024, 0.176, 0.580)
O (0.626, 0.434, 0.123)
O (0.457, 0.321, 0.425)
O (0.012, 0.825, 0.645)
O (0.374, 0.326, 0.621)
O (0.524, 0.824, 0.920)
O (0.626, 0.674, 0.379)
O (0.957, 0.679, 0.075)
O (0.011, 0.119, 0.853)
O (0.488, 0.825, 0.145)
O (0.976, 0.824, 0.420)
O (0.989, 0.881, 0.147)
O (0.512, 0.175, 0.855)
O (0.374, 0.566, 0.877)
O (0.126, 0.326, 0.121)
O (0.874, 0.434, 0.623)
O (0.489, 0.119, 0.353)
O (0.043, 0.321, 0.925)
O (0.874, 0.674, 0.879)
O (0.543, 0.679, 0.575)
O (0.476, 0.176, 0.080)
O (0.511, 0.881, 0.647)
O (0.988, 0.175, 0.355)
O (0.126, 0.566, 0.377)
Bi (0.214, 0.364, 0.745)
Bi (0.786, 0.636, 0.255)
Bi (0.715, 0.157, 0.738)
Bi (0.714, 0.636, 0.755)
Bi (0.785, 0.157, 0.238)
Bi (0.215, 0.843, 0.762)
Bi (0.285, 0.843, 0.262)
Bi (0.286, 0.364, 0.245)
Ge (0.255, 0.346, 0.002)
Ge (0.755, 0.654, 0.498)
Ge (0.745, 0.654, 0.998)
Ge (0.245, 0.346, 0.502)



Entry 6:
VASP calculation (GGA-PBE) on a relaxed MnAgN crystal.

For the energy relative to the elements, the calculation gives -3.5 kJ per mole of atoms. As for the space-group type: C2/m (12). The value obtained for the calculated density is 6.849 Mg/m³. Its energy with MP2020 corrections is -6.813 eV/atom. For the total energy, the calculation gives -6.69 eV/atom. Its polymorph energy (0 for the lowest one) is 0.000 eV per atom.

Cell lengths 6.253, 3.350, 8.677 Å; angles 90.00, 101.29, 74.46 degrees
Atoms (fractional coordinates):
Mn (0.467, 0.267, 0.100)
Mn (0.117, 0.442, 0.898)
Mn (0.533, 0.733, 0.900)
Mn (0.883, 0.558, 0.102)
N (0.189, 0.405, 0.127)
N (0.585, 0.707, 0.133)
N (0.811, 0.595, 0.873)
N (0.415, 0.293, 0.867)
Ag (0.846, 0.077, 0.361)
Ag (0.685, 0.658, 0.593)
Ag (0.315, 0.342, 0.407)
Ag (0.154, 0.923, 0.639)



Entry 7:
VASP calculation (GGA-PBE) on a relaxed Na4CaZr3P6O24 crystal.

For the energy relative to the elements, the calculation gives -295.1 kJ per mole of atoms. As for the space-group type: P1 (1). The value obtained for the calculated density is 2.922 Mg/m³. Its energy with MP2020 corrections is -7.905 eV/atom. For the total energy, the calculation gives -7.47 eV/atom.

Cell lengths 9.081, 9.087, 23.238 Å; angles 90.06, 89.96, 119.85 degrees
Atoms (fractional coordinates):
O (0.145, 0.657, 0.071)
O (0.149, 0.675, 0.469)
O (0.344, 0.857, 0.574)
O (0.528, 0.836, 0.757)
O (0.190, 0.020, 0.588)
O (0.791, 0.967, 0.416)
O (0.515, 0.876, 0.361)
O (0.459, 0.366, 0.140)
O (0.796, 0.826, 0.199)
O (0.845, 0.310, 0.533)
O (0.676, 0.527, 0.244)
O (0.643, 0.505, 0.924)
O (0.216, 0.027, 0.303)
O (0.464, 0.099, 0.642)
O (0.031, 0.824, 0.698)
O (0.310, 0.846, 0.968)
O (0.364, 0.487, 0.362)
O (0.360, 0.876, 0.861)
O (0.475, 0.148, 0.244)
O (0.524, 0.695, 0.255)
O (0.980, 0.811, 0.087)
O (0.172, 0.204, 0.698)
O (0.795, 0.973, 0.697)
O (0.988, 0.806, 0.805)
O (0.907, 0.541, 0.140)
O (0.901, 0.364, 0.642)
O (0.821, 0.014, 0.804)
O (0.343, 0.488, 0.071)
O (0.032, 0.209, 0.196)
O (0.155, 0.464, 0.968)
O (0.804, 0.780, 0.307)
O (0.121, 0.640, 0.362)
O (0.511, 0.855, 0.071)
O (0.190, 0.177, 0.805)
O (0.803, 0.824, 0.910)
O (0.862, 0.358, 0.923)
O (0.009, 0.812, 0.417)
O (0.021, 0.197, 0.910)
O (0.692, 0.544, 0.527)
O (0.304, 0.829, 0.255)
O (0.521, 0.845, 0.468)
O (0.691, 0.154, 0.749)
O (0.327, 0.479, 0.469)
O (0.143, 0.487, 0.574)
O (0.173, 0.703, 0.757)
O (0.176, 0.979, 0.910)
O (0.457, 0.300, 0.749)
O (0.830, 0.809, 0.587)
O (0.845, 0.534, 0.032)
O (0.636, 0.137, 0.424)
O (0.690, 0.155, 0.032)
O (0.971, 0.188, 0.303)
O (0.633, 0.528, 0.635)
O (0.539, 0.691, 0.970)
O (0.634, 0.093, 0.140)
O (0.495, 0.138, 0.924)
O (0.852, 0.327, 0.244)
O (0.514, 0.641, 0.863)
O (0.855, 0.533, 0.750)
O (0.830, 0.018, 0.087)
O (0.171, 0.475, 0.255)
O (0.513, 0.659, 0.572)
O (0.510, 0.375, 0.423)
O (0.980, 0.170, 0.588)
O (0.858, 0.496, 0.423)
O (0.178, 0.969, 0.196)
O (0.465, 0.155, 0.533)
O (0.124, 0.483, 0.861)
O (0.185, 0.204, 0.418)
O (0.465, 0.310, 0.032)
O (0.189, 0.170, 0.087)
O (0.294, 0.465, 0.758)
P (0.666, 0.033, 0.084)
P (0.004, 0.713, 0.752)
P (0.965, 0.333, 0.585)
P (0.284, 0.287, 0.751)
P (0.369, 0.035, 0.585)
P (0.666, 0.631, 0.582)
P (0.002, 0.296, 0.250)
P (0.036, 0.660, 0.418)
P (0.040, 0.376, 0.916)
P (0.966, 0.633, 0.083)
P (0.625, 0.664, 0.918)
P (0.367, 0.334, 0.084)
P (0.340, 0.378, 0.419)
P (0.704, 0.707, 0.252)
P (0.710, 0.995, 0.751)
P (0.294, 0.998, 0.250)
P (0.336, 0.961, 0.916)
P (0.620, 0.960, 0.418)
Na (0.011, 0.011, 0.497)
Na (0.344, 0.666, 0.662)
Na (0.666, 0.324, 0.333)
Na (0.988, 0.631, 0.246)
Na (0.666, 0.344, 0.833)
Na (0.989, 0.363, 0.745)
Na (0.644, 0.011, 0.246)
Na (0.000, 0.000, 0.002)
Na (0.368, 0.356, 0.246)
Na (0.707, 0.675, 0.416)
Na (0.333, 0.667, 0.162)
Na (0.373, 0.008, 0.745)
Zr (0.339, 0.666, 0.816)
Zr (0.666, 0.327, 0.484)
Zr (0.001, 0.000, 0.145)
Zr (0.330, 0.667, 0.520)
Zr (0.996, 0.996, 0.644)
Zr (0.331, 0.667, 0.318)
Zr (0.333, 0.667, 0.018)
Zr (0.998, 0.998, 0.856)
Zr (0.667, 0.333, 0.983)
Ca (0.666, 0.341, 0.682)
Ca (0.007, 0.008, 0.355)
Ca (0.667, 0.334, 0.176)



Entry 8:
VASP calculation (GGA-PBE) on a relaxed ErAs3 crystal.

For the energy relative to the elements, the calculation gives -45.1 kJ per mole of atoms. As for the space-group type: P6_3/mmc (194). The value obtained for the calculated density is 7.682 Mg/m³. For the total energy, the calculation gives -5.10 eV/atom.

Cell lengths 5.983, 5.983, 5.468 Å; angles 90.00, 90.00, 120.00 degrees
Atoms (fractional coordinates):
As (0.818, 0.637, 0.750)
As (0.818, 0.182, 0.750)
As (0.637, 0.818, 0.250)
As (0.363, 0.182, 0.750)
As (0.182, 0.363, 0.250)
As (0.182, 0.818, 0.250)
Er (0.333, 0.667, 0.750)
Er (0.667, 0.333, 0.250)



Entry 9:
VASP calculation (GGA-PBE) on a relaxed TlPO4 crystal.

For the energy relative to the elements, the calculation gives -192.4 kJ per mole of atoms. As for the space-group type: P2_1/c (14). The value obtained for the calculated density is 6.383 Mg/m³. Its energy with MP2020 corrections is -6.589 eV/atom. For the total energy, the calculation gives -6.13 eV/atom.

Cell lengths 4.569, 4.671, 14.596 Å; angles 89.81, 90.00, 90.00 degrees
Atoms (fractional coordinates):
Tl (0.485, 0.263, 0.363)
Tl (0.015, 0.263, 0.863)
Tl (0.985, 0.737, 0.137)
Tl (0.515, 0.737, 0.637)
O (0.797, 0.066, 0.567)
O (0.297, 0.934, 0.933)
O (0.703, 0.066, 0.067)
O (0.201, 0.049, 0.690)
O (0.650, 0.447, 0.192)
O (0.226, 0.425, 0.562)
O (0.274, 0.425, 0.062)
O (0.726, 0.575, 0.938)
O (0.774, 0.575, 0.438)
O (0.350, 0.553, 0.808)
O (0.150, 0.553, 0.308)
O (0.701, 0.951, 0.810)
O (0.299, 0.049, 0.190)
O (0.203, 0.934, 0.433)
O (0.799, 0.951, 0.310)
O (0.850, 0.447, 0.692)
P (0.982, 0.756, 0.376)
P (0.518, 0.756, 0.876)
P (0.018, 0.244, 0.624)
P (0.482, 0.244, 0.124)



Entry 10:
VASP calculation (GGA-PBE) on a relaxed SmGe2Pt crystal.

For the energy relative to the elements, the calculation gives -86.4 kJ per mole of atoms. As for the space-group type: Immm (71). The value obtained for the calculated density is 10.159 Mg/m³. For the total energy, the calculation gives -5.90 eV/atom.

Cell lengths 9.610, 9.610, 9.610 Å; angles 153.46, 125.41, 61.70 degrees
Atoms (fractional coordinates):
Ge (0.452, 0.802, 0.650)
Ge (0.848, 0.198, 0.650)
Ge (0.548, 0.198, 0.350)
Ge (0.926, 0.426, 0.500)
Ge (0.426, 0.426, 0.000)
Ge (0.574, 0.574, 0.000)
Ge (0.074, 0.574, 0.500)
Ge (0.152, 0.802, 0.350)
Pt (0.400, 0.649, 0.751)
Pt (0.600, 0.351, 0.249)
Pt (0.102, 0.351, 0.751)
Pt (0.898, 0.649, 0.249)
Sm (0.203, 0.203, 0.000)
Sm (0.797, 0.797, 0.000)
Sm (0.759, 0.000, 0.759)
Sm (0.241, 0.000, 0.241)